NaCaBO3 | PBE | relaxed

POSCAR file:
```
NaCaBO3
1.0
0.0000 0.0000 -3.5360
0.0060 -10.2844 0.0000
-16.2573 0.0096 0.0000
Na Ca B O
8 8 8 24
Cartesian
-1.3202 -2.5445 -0.7543
-6.7746 -2.6688 -0.7210
-14.9003 -7.8062 -2.8149
-9.4459 -7.6820 -2.7817
-12.2117 -7.7589 -1.3364
-4.0860 -2.6215 -2.1995
-14.6392 -0.3200 -0.8369
-6.5076 -5.4670 -2.6991
-12.2355 -2.5008 -1.8749
-4.1038 -7.6478 -1.6610
-9.7582 -0.3287 -0.8285
-14.6511 -4.7788 -0.8293
-9.6671 -4.8035 -0.8519
-1.5354 -9.9505 -2.6840
-6.5194 -9.9258 -2.7066
-1.6265 -5.4757 -2.7074
-0.6873 -7.6969 -1.1288
-7.5005 -7.7339 -1.1315
-15.6322 -2.5869 -2.4044
-8.8189 -2.5499 -2.4072
-12.1365 -10.0001 -2.9683
-12.1934 -5.3651 -2.9541
-4.0678 -0.2276 -0.5819
-4.0108 -4.8627 -0.5676
-12.0814 -0.9357 -0.1199
-12.1995 -4.1809 -0.1577
-4.0678 -9.3279 -3.3783
-3.9497 -6.0827 -3.4161
-14.4533 -2.6046 -1.7024
-9.9681 -2.5330 -1.6399
-1.8364 -7.6800 -1.8961
-6.3216 -7.7516 -1.8336
-13.3106 -9.3557 -2.6961
-10.8853 -9.4419 -2.5981
-13.4226 -5.9468 -2.6113
-10.9750 -5.9499 -2.6121
-2.8494 -0.8125 -0.9238
-5.2970 -0.8094 -0.9246
-2.7596 -4.3045 -0.9378
-5.1849 -4.2183 -0.8398
-0.1271 -8.9188 -0.7982
-8.0546 -8.9944 -0.8001
-0.0635 -6.4826 -0.8250
-8.2113 -6.5768 -0.8835
-0.0856 -1.4394 -2.6524
-8.1952 -1.3356 -2.7109
-16.1863 -3.8474 -2.7358
-8.2588 -3.7718 -2.7378
```

- ΔE_f (eV/atom) = -2.91
- SG = Pc (7)